No. 1
! PBE+U Li5Co3O8, optimized geometry; values from VASP
! calculated density: 4.0 g cm⁻³
! total magnetic moment: 2.000 μB per formula unit
! volume: 141.0 Å³/cell
! energy relative to the lowest polymorph listed for this composition: 0.055 eV per atom
! energy of formation from the pure elements: -1.679 eV/atom
! MP2020-corrected energy: -97.31 eV/cell
&SYSTEM
  ibrav = 0, nat = 16, ntyp = 3
/
ATOMIC_SPECIES
Li 6.94 Li.upf
Co 58.93 Co.upf
O 16.00 O.upf
ATOMIC_POSITIONS angstrom
Li 0.000 0.000 0.000
Li 1.618 0.000 3.587
Li 0.630 0.000 8.401
Li 7.053 0.000 1.210
Li 6.065 0.000 6.025
Co -1.074 0.000 4.806
Co 4.387 0.000 2.298
Co 3.296 0.000 7.313
O 0.691 0.000 1.841
O -0.327 0.000 6.544
O 3.570 0.000 0.773
O 2.597 0.000 5.518
O 5.086 0.000 4.094
O 4.113 0.000 8.838
O 8.011 0.000 3.067
O 6.992 0.000 7.771
CELL_PARAMETERS angstrom
4.916 -1.492 0.000
4.916 1.492 0.000
-2.149 0.000 9.611

No. 2
! PBE+U Li5Mn3O8, optimized geometry; values from VASP
! calculated density: 3.8 g cm⁻³
! total magnetic moment: 10.000 μB per formula unit
! volume: 142.6 Å³/cell
! energy relative to the lowest polymorph listed for this composition: 0.007 eV per atom
! energy of formation from the pure elements: -2.143 eV/atom
! MP2020-corrected energy: -110.91 eV/cell
&SYSTEM
  ibrav = 0, nat = 16, ntyp = 3
/
ATOMIC_SPECIES
Li 6.94 Li.upf
Mn 54.94 Mn.upf
O 16.00 O.upf
ATOMIC_POSITIONS angstrom
Li 0.000 0.000 0.000
Li 4.122 4.826 1.218
Li 3.305 1.996 1.274
Li 5.006 6.062 3.826
Li 4.189 3.232 3.883
Mn 0.805 1.263 2.550
Mn 0.824 2.766 0.000
Mn 1.628 4.029 2.550
O 2.351 3.741 0.759
O 1.569 1.106 0.752
O 2.344 2.308 3.117
O 3.206 5.067 3.042
O 5.105 2.991 2.058
O 5.967 5.750 1.983
O 6.742 6.952 4.348
O 5.961 4.317 4.342
CELL_PARAMETERS angstrom
5.054 0.000 0.000
1.647 5.532 0.000
1.610 2.526 5.100

No. 3
! PBE+U MgV2O4, optimized geometry; values from VASP
! calculated density: 4.0 g cm⁻³
! total magnetic moment: 4.000 μB per formula unit
! volume: 316.6 Å³/cell
! energy relative to the lowest polymorph listed for this composition: 0.123 eV per atom
! energy of formation from the pure elements: -2.583 eV/atom
! MP2020-corrected energy: -230.57 eV/cell
&SYSTEM
  ibrav = 0, nat = 28, ntyp = 3
/
ATOMIC_SPECIES
Mg 24.30 Mg.upf
V 50.94 V.upf
O 16.00 O.upf
ATOMIC_POSITIONS angstrom
Mg 1.482 2.579 0.048
Mg 1.482 7.736 1.757
Mg 4.447 2.579 3.419
Mg 4.447 7.736 5.128
V 0.000 0.000 2.588
V 0.000 5.157 2.588
V 1.482 5.307 5.112
V 1.482 10.165 5.112
V 2.965 0.000 2.588
V 2.965 5.157 2.588
V 4.447 0.149 0.064
V 4.447 5.008 0.064
O 0.024 1.185 4.355
O 0.024 3.973 4.355
O 1.482 0.991 1.594
O 1.482 4.167 1.594
O 1.482 6.290 3.334
O 1.482 9.182 3.334
O 2.941 1.185 4.355
O 2.941 3.973 4.355
O 2.989 6.342 0.822
O 2.989 9.130 0.822
O 4.447 1.133 1.842
O 4.447 4.024 1.842
O 4.447 6.148 3.582
O 4.447 9.324 3.582
O 5.906 6.342 0.822
O 5.906 9.130 0.822
CELL_PARAMETERS angstrom
5.930 0.000 0.000
0.000 10.315 0.000
0.000 0.000 5.176